Entry 1:
# CsNa3Li12Ge4O16

A relaxed structure of CsNa3Li12Ge4O16 (PBE-GGA, the Materials Project).

```
CsNa3Li12Ge4O16
1.0
7.491 -1.644 4.019
-6.738 5.252 1.410
-3.946 -7.540 1.593
Cs Na Li Ge O
1 3 12 4 16
Cartesian
0.000 0.000 0.000
-5.154 -0.242 2.859
1.960 -3.690 4.163
0.377 1.804 2.714
0.180 -2.790 1.829
4.177 -1.584 4.438
-7.370 -2.349 2.583
-3.374 -1.143 5.193
2.477 0.776 5.045
-1.571 1.215 5.315
-1.254 -3.384 4.361
-5.302 -2.944 4.631
-1.939 -0.549 2.660
2.109 -0.988 2.391
-5.671 -4.708 1.977
-1.622 -5.148 1.707
0.514 -0.962 4.533
-2.912 1.899 3.107
-0.281 -5.832 3.914
-3.707 -2.970 2.488
-3.000 0.408 4.111
-0.121 -2.299 5.510
1.361 -6.469 4.110
-3.072 -1.634 1.512
-2.173 1.355 1.581
-3.487 -4.569 1.734
-0.045 -0.988 2.843
-1.359 -6.912 2.996
-1.020 -5.288 5.441
0.294 0.636 5.287
-3.148 -2.944 4.179
-1.834 2.979 4.025
2.299 -1.151 4.411
-0.193 -4.340 2.911
-4.554 2.537 2.911
-5.493 -2.782 2.611
```

Calculated values
Its volume is 421 Å³ per cell. For the total energy, the calculation gives -5.404 eV/atom. As for the space-group type: No. 87. The calculation puts the mass density at 3.3 g/cm3. The size of the total moment is 0.00 μB per cell.

=====

Entry 2:
# RbHoP2O7

A relaxed structure of RbHoP2O7 (PBE-GGA, the Materials Project).

```
RbHoP2O7
1.0
-6.469 1.458 -8.816
-6.186 -2.652 4.101
-3.565 7.115 3.792
Rb Ho P O
4 4 8 28
Cartesian
-12.338 2.982 -1.746
-3.882 2.938 0.822
-6.545 6.694 1.519
-9.676 -0.773 -2.443
-10.006 3.956 2.468
-6.214 1.964 -3.391
-9.944 5.960 -4.149
-6.277 -0.040 3.225
-6.832 3.612 3.775
-9.389 2.308 -4.698
-9.657 5.524 -0.738
-6.564 0.396 -0.185
-8.939 3.705 5.821
-7.281 2.215 -6.744
-7.096 5.329 -2.166
-9.125 0.592 1.242
-5.476 4.313 3.707
-10.744 1.608 -4.630
-10.252 4.653 0.365
-5.968 1.268 -1.288
-9.844 3.295 4.647
-6.376 2.625 -5.570
-7.849 6.113 -3.253
-8.371 -0.192 2.329
-7.783 4.181 2.719
-8.437 1.740 -3.642
-10.437 5.346 -2.043
-5.783 0.574 1.119
-6.709 2.087 3.777
-9.512 3.833 -4.701
-9.456 6.977 -0.300
-6.764 -1.056 -0.623
-9.690 1.900 1.765
-6.531 4.020 -2.689
-6.818 0.929 -7.405
-9.403 4.991 6.482
-7.440 4.010 5.245
-8.781 1.911 -6.168
-8.150 4.924 -0.984
-8.070 0.996 0.061
-6.042 6.213 -1.481
-10.178 -0.292 0.558
-8.763 2.544 6.811
-7.457 3.376 -7.734
```

Calculated values
Its volume is 738 Å³ per cell. For the total energy, the calculation gives -7.352 eV/atom. As for the space-group type: No. 14. The calculation puts the mass density at 3.8 g/cm3. The size of the total moment is 0.00 μB per cell.

=====

Entry 3:
# MgCuO2

A relaxed structure of MgCuO2 (PBE-GGA, the Materials Project).

```
MgCuO2
1.0
-4.579 0.832 -2.219
-0.890 -1.960 4.685
-0.055 2.831 1.174
Mg Cu O
2 2 4
Cartesian
0.000 0.000 0.000
-2.735 -0.564 1.233
-2.317 1.831 -0.523
-0.472 0.435 2.930
-3.662 0.406 -0.380
-1.862 1.296 4.020
-4.129 0.569 2.436
-1.395 1.133 1.203
```

Calculated values
Its volume is 78 Å³ per cell. For the total energy, the calculation gives -5.511 eV/atom. As for the space-group type: No. 67. The calculation puts the mass density at 5.1 g/cm3. The size of the total moment is 0.00 μB per cell.

=====

Entry 4:
# Mg2V3NiS8

A relaxed structure of Mg2V3NiS8 (PBE-GGA, the Materials Project).

```
Mg2V3NiS8
1.0
6.270 0.068 3.712
2.145 5.879 3.728
0.087 0.081 7.274
Mg V Ni S
2 3 1 8
Cartesian
7.446 5.277 12.881
1.056 0.750 1.833
4.294 3.054 10.994
7.386 3.048 9.213
5.323 5.953 9.221
4.251 3.014 7.357
6.288 4.452 10.886
2.319 1.649 7.149
3.228 4.202 5.589
5.041 1.644 5.581
5.274 1.826 9.125
3.461 4.384 9.132
2.214 1.575 3.828
6.183 4.379 7.564
```

Calculated values
Its volume is 264 Å³ per cell. For the total energy, the calculation gives -5.808 eV/atom. As for the space-group type: No. 2. The calculation puts the mass density at 3.3 g/cm3. The size of the total moment is 4.82 μB per cell.

=====

Entry 5:
# La3Ga5SiO14

A relaxed structure of La3Ga5SiO14 (PBE-GGA, the Materials Project).

```
La3Ga5SiO14
1.0
0.000 0.000 -5.149
-4.131 -7.156 0.000
-4.131 7.156 0.000
La Ga Si O
3 5 1 14
Cartesian
-3.435 0.063 -0.024
-6.491 2.943 -0.024
-2.469 4.150 -0.024
-6.302 -0.016 -2.549
-0.994 -1.690 -2.549
-5.098 -5.450 -2.549
-8.263 0.000 -5.140
-4.131 2.385 -2.439
-4.131 -2.385 -2.794
-4.131 -2.385 -1.164
-4.132 2.385 -4.256
-2.492 2.246 -1.563
-5.072 1.036 -1.563
-4.830 3.875 -1.563
-4.760 -3.760 -3.484
-5.008 -1.154 -3.484
-2.627 -2.242 -3.484
-1.500 0.614 -3.928
-6.981 0.992 -3.927
-3.913 5.549 -3.928
-3.843 -5.566 -1.209
-7.030 -1.045 -1.209
-1.521 -0.546 -1.209
```

Calculated values
Its volume is 304 Å³ per cell. For the total energy, the calculation gives -7.113 eV/atom. As for the space-group type: No. 143. The calculation puts the mass density at 5.5 g/cm3. The size of the total moment is 0.00 μB per cell.

=====

Entry 6:
# WNCl3

A relaxed structure of WNCl3 (PBE-GGA, the Materials Project).

```
WNCl3
1.0
-6.444 -4.675 1.966
6.152 -1.017 5.667
-1.996 8.843 2.091
W N Cl
4 4 12
Cartesian
-0.147 1.934 0.816
-2.141 1.217 8.907
-2.402 -1.401 6.282
0.114 4.553 3.441
0.255 3.004 2.136
-2.543 0.147 7.587
-1.559 -2.517 7.315
-0.729 5.669 2.408
-2.137 1.135 1.647
-0.152 2.017 8.077
-3.229 3.230 8.313
0.941 -0.078 1.410
1.232 -3.239 6.948
-3.520 6.390 2.776
1.818 2.706 4.998
-4.106 0.446 4.725
-2.660 -2.662 4.372
0.372 5.814 5.352
-0.614 -0.294 5.359
-1.674 3.445 4.364
```

Calculated values
Its volume is 553 Å³ per cell. For the total energy, the calculation gives -6.116 eV/atom. As for the space-group type: No. 2. The calculation puts the mass density at 3.7 g/cm3.

=====

Entry 7:
# Mg6CdC

A relaxed structure of Mg6CdC (PBE-GGA, the Materials Project).

```
Mg6CdC
1.0
3.559 0.000 0.000
0.000 8.712 0.000
0.000 0.000 10.148
Mg Cd C
12 2 2
Cartesian
1.779 6.599 8.663
1.779 2.114 8.663
0.000 5.795 1.190
0.000 2.917 1.190
0.000 4.356 8.493
0.000 4.356 3.815
1.779 2.242 3.589
1.779 6.470 3.589
0.000 1.439 6.264
0.000 7.273 6.264
0.000 0.000 3.419
0.000 0.000 8.888
1.779 4.356 6.193
1.779 0.000 1.119
1.779 4.356 2.383
1.779 0.000 7.457
```

Calculated values
Its volume is 315 Å³ per cell. For the total energy, the calculation gives -2.186 eV/atom. The calculation puts the mass density at 2.9 g/cm3. The size of the total moment is 0.01 μB per cell.

=====

Entry 8:
# TeMoWSeS2

A relaxed structure of TeMoWSeS2 (PBE-GGA, the Materials Project).

```
TeMoWSeS2
1.0
-1.261 3.023 -0.485
-0.189 -2.277 -2.397
-33.100 -11.620 13.646
Te Mo W Se S
2 2 2 2 4
Cartesian
-24.001 -8.744 7.910
-20.620 -7.557 6.516
-3.655 -1.602 -0.478
-16.092 -5.967 4.649
-10.231 -2.018 2.723
-22.669 -6.384 7.851
-11.358 -4.306 2.698
-8.389 -3.263 1.474
-2.669 0.637 -0.394
-15.106 -3.729 4.733
-5.356 -0.307 0.713
-17.792 -4.672 5.840
```

Calculated values
Its volume is 357 Å³ per cell. For the total energy, the calculation gives -6.992 eV/atom. As for the space-group type: No. 156. The calculation puts the mass density at 5.1 g/cm3. The size of the total moment is 0.00 μB per cell.

=====

Entry 9:
# Y2Al9Ir3

A relaxed structure of Y2Al9Ir3 (PBE-GGA, the Materials Project).

```
Y2Al9Ir3
1.0
3.809 -6.539 0.000
3.809 6.539 0.000
0.000 0.000 9.500
Y Al Ir
4 18 6
Cartesian
6.342 -2.127 2.375
1.277 2.127 7.125
6.342 2.127 2.375
1.277 -2.127 7.125
0.972 0.000 2.375
6.646 0.000 7.125
1.281 2.181 0.700
6.337 -2.181 8.800
6.337 -2.181 5.450
1.281 -2.181 4.050
1.281 2.181 4.050
6.337 2.181 5.450
6.337 2.181 8.800
1.281 -2.181 0.700
2.541 0.000 5.252
5.078 0.000 4.248
5.078 0.000 0.502
2.541 0.000 8.998
3.370 1.363 2.375
4.248 -1.363 7.125
3.370 -1.363 2.375
4.248 1.363 7.125
3.809 -2.245 0.000
3.809 2.245 0.000
3.809 2.245 4.750
3.809 -2.245 4.750
0.000 0.000 0.000
0.000 0.000 4.750
```

Calculated values
Its volume is 473 Å³ per cell. For the total energy, the calculation gives -6.097 eV/atom. As for the space-group type: No. 63. The calculation puts the mass density at 7.0 g/cm3.

=====

Entry 10:
# ZnGa4S7

A relaxed structure of ZnGa4S7 (PBE-GGA, the Materials Project).

```
ZnGa4S7
1.0
6.150 0.000 0.000
0.000 6.522 0.000
0.000 0.000 15.389
Zn Ga S
2 8 14
Cartesian
2.604 4.342 7.694
5.679 2.180 0.000
3.694 0.915 13.438
3.694 0.915 1.951
0.619 5.607 9.645
0.619 5.607 5.743
3.687 4.337 11.649
3.687 4.337 3.740
0.612 2.185 11.434
0.612 2.185 3.954
2.977 5.366 9.695
2.977 5.366 5.694
6.052 1.156 13.388
6.052 1.156 2.001
2.965 5.336 13.508
2.965 5.336 1.881
6.040 1.186 9.575
6.040 1.186 5.814
2.964 2.129 11.558
2.964 2.129 3.830
6.039 4.393 11.525
6.039 4.393 3.864
0.220 4.363 7.694
3.295 2.159 0.000
```

Calculated values
Its volume is 617 Å³ per cell. For the total energy, the calculation gives -4.123 eV/atom. As for the space-group type: No. 31. The calculation puts the mass density at 3.1 g/cm3. The size of the total moment is 0.00 μB per cell.

=====

Entry 11:
# Eu2GdTaO6

A relaxed structure of Eu2GdTaO6 (PBE-GGA, the Materials Project).

```
Eu2GdTaO6
1.0
0.225 -0.241 5.974
2.257 4.595 3.096
-3.616 3.466 3.272
Eu Gd Ta O
2 1 1 6
Cartesian
-0.284 1.955 3.086
-0.851 5.865 9.257
-0.567 3.910 6.171
0.000 0.000 0.000
-0.149 1.715 6.067
-0.986 6.105 6.275
0.926 4.272 4.545
-2.061 3.548 7.797
-2.180 3.675 4.638
1.045 4.145 7.704
```

Calculated values
Its volume is 151 Å³ per cell. For the total energy, the calculation gives -10.628 eV/atom. As for the space-group type: No. 225. The calculation puts the mass density at 8.1 g/cm3. The size of the total moment is 21.00 μB per cell.

=====

Entry 12:
# La7YAl8O24

A relaxed structure of La7YAl8O24 (PBE-GGA, the Materials Project).

```
La7YAl8O24
1.0
7.602 0.000 0.000
0.000 7.602 0.000
0.000 0.000 7.602
La Y Al O
7 1 8 24
Cartesian
0.000 0.000 3.801
0.000 3.801 0.000
0.000 3.801 3.801
3.801 0.000 0.000
3.801 0.000 3.801
3.801 3.801 0.000
3.801 3.801 3.801
0.000 0.000 0.000
5.710 5.710 5.710
5.710 5.710 1.892
5.710 1.892 5.710
5.710 1.892 1.892
1.892 5.710 5.710
1.892 5.710 1.892
1.892 1.892 5.710
1.892 1.892 1.892
5.720 0.000 5.720
5.720 0.000 1.882
5.704 3.801 5.704
5.704 3.801 1.898
1.882 0.000 5.720
1.882 0.000 1.882
1.898 3.801 5.704
1.898 3.801 1.898
5.720 5.720 0.000
5.704 5.704 3.801
5.720 1.882 0.000
5.704 1.898 3.801
1.882 5.720 0.000
1.898 5.704 3.801
1.882 1.882 0.000
1.898 1.898 3.801
0.000 5.720 5.720
0.000 5.720 1.882
0.000 1.882 5.720
0.000 1.882 1.882
3.801 5.704 5.704
3.801 5.704 1.898
3.801 1.898 5.704
3.801 1.898 1.898
```

Calculated values
Its volume is 439 Å³ per cell. For the total energy, the calculation gives -8.030 eV/atom. As for the space-group type: No. 221. The calculation puts the mass density at 6.3 g/cm3. The size of the total moment is 0.00 μB per cell.

=====

Entry 13:
# NaLa

A relaxed structure of NaLa (PBE-GGA, the Materials Project).

```
NaLa
1.0
1.803 -3.123 0.000
1.803 3.123 0.000
0.000 0.000 6.484
Na La
1 1
Cartesian
1.803 1.041 0.000
1.803 -1.041 3.242
```

Calculated values
Its volume is 73 Å³ per cell. For the total energy, the calculation gives -2.950 eV/atom. As for the space-group type: No. 187. The calculation puts the mass density at 3.7 g/cm3. The size of the total moment is 0.00 μB per cell.

=====

Entry 14:
# Mg14GaBi

A relaxed structure of Mg14GaBi (PBE-GGA, the Materials Project).

```
Mg14GaBi
1.0
6.380 -0.113 0.000
-3.288 5.695 0.000
0.000 0.000 10.298
Mg Ga Bi
14 1 1
Cartesian
-0.027 1.883 6.436
-1.671 4.731 6.436
3.168 1.825 1.287
3.158 1.824 6.436
1.520 4.679 1.287
1.514 4.671 6.436
1.560 0.939 3.865
1.560 0.939 9.007
-0.051 3.729 3.865
-0.051 3.729 9.007
4.782 0.863 3.844
4.782 0.863 9.029
3.111 3.695 3.893
3.111 3.695 8.979
-0.045 1.873 1.287
-1.685 4.722 1.287
```

Calculated values
Its volume is 370 Å³ per cell. For the total energy, the calculation gives -1.847 eV/atom. As for the space-group type: No. 38. The calculation puts the mass density at 2.8 g/cm3. The size of the total moment is 0.00 μB per cell.

=====

Entry 15:
# Re2PtC12O12

A relaxed structure of Re2PtC12O12 (PBE-GGA, the Materials Project).

```
Re2PtC12O12
1.0
6.540 0.000 0.000
0.246 7.268 0.000
0.815 3.195 9.623
Re Pt C O
2 1 12 12
Cartesian
5.585 7.298 2.592
2.016 3.165 7.031
0.000 0.000 0.000
2.803 4.936 7.591
6.227 1.788 2.897
1.374 8.675 6.726
4.798 5.527 2.033
6.685 4.942 9.276
3.810 9.483 7.877
6.889 4.063 6.381
0.712 6.400 3.242
3.791 0.980 1.746
2.858 3.202 5.285
0.915 5.520 0.347
4.743 7.261 4.338
0.859 7.655 6.521
3.391 3.241 4.249
1.315 4.456 0.577
3.259 5.954 7.899
1.682 5.897 3.638
6.741 2.808 3.102
6.286 6.007 9.046
4.341 4.509 1.724
4.718 8.942 8.356
2.883 1.521 1.267
4.209 7.222 5.375
5.919 4.566 5.985
```

Calculated values
Its volume is 457 Å³ per cell. For the total energy, the calculation gives -8.122 eV/atom. As for the space-group type: No. 2. The calculation puts the mass density at 3.3 g/cm3. The size of the total moment is 0.00 μB per cell.